First-principles (meta-GGA r2SCAN) data for an optimized crystal structure of TbAl8Cu4, as listed in Materials Project.

Unit cell a=6.6817 b=6.6817 c=6.6817 alpha=98.34 beta=98.34 gamma=135.23
With the nearest neighbours (Å) after each atom.
Element x y z (fractional)
Cu 0.0000 0.5000 0.0000  8 Al 2.54-2.67, 2 Cu 2.54
Al 0.5000 0.7193 0.2193  4 Cu 2.54, 6 Al 2.71-2.79
Al 0.0000 0.6516 0.6516  5 Al 2.65-2.79, 4 Cu 2.67
Cu 0.5000 0.0000 0.0000  8 Al 2.54-2.67, 2 Cu 2.54
Al 0.2807 0.5000 0.7807  4 Cu 2.54, 6 Al 2.71-2.79
Al 0.3484 0.0000 0.3484  5 Al 2.65-2.79, 4 Cu 2.67
Al 0.7193 0.5000 0.2193  4 Cu 2.54, 6 Al 2.71-2.79
Cu 0.0000 0.0000 0.5000  8 Al 2.54-2.67, 2 Cu 2.54
Cu 0.5000 0.5000 0.5000  8 Al 2.54-2.67, 2 Cu 2.54
Tb 0.0000 0.0000 0.0000  12 Al 3.04-3.19, 8 Cu 3.34
Al 0.6516 0.0000 0.6516  5 Al 2.65-2.79, 4 Cu 2.67
Al 0.0000 0.3484 0.3484  5 Al 2.65-2.79, 4 Cu 2.67
Al 0.5000 0.2807 0.7807  4 Cu 2.54, 6 Al 2.71-2.79

Summary:
Energy of formation from the pure elements (eV per atom): -0.350

=====

First-principles (meta-GGA r2SCAN) data for an optimized crystal structure of Cr2NiO4, as listed in Materials Project.

Unit cell a=5.8618 b=5.9547 c=5.8684 alpha=59.52 beta=91.73 gamma=120.50
With the nearest neighbours (Å) after each atom.
Element x y z (fractional)
O 0.7802 0.5223 0.2360  1 Ni 1.98, 3 Cr 1.99-2.01
O 0.2443 0.9685 0.2448  1 Ni 1.96, 3 Cr 1.99-2.00
O 0.7577 0.4775 0.7584  1 Ni 1.98, 3 Cr 1.99-2.01
O 0.7759 0.0316 0.2130  1 Ni 1.96, 3 Cr 1.99-2.00
Ni 0.3685 0.2497 0.3688  4 O 1.96-1.98
Ni 0.6194 0.7505 0.6183  4 O 1.96-1.98
Cr 0.9987 0.4982 0.5023  6 O 1.99-2.01
O 0.7578 0.0220 0.7582  1 Ni 1.98, 3 Cr 1.99-2.01
Cr 0.5021 0.0017 0.9987  6 O 1.99-2.01
O 0.2358 0.9778 0.7801  1 Ni 1.98, 3 Cr 1.99-2.01
Cr 0.0005 0.5018 0.0004  6 O 1.99-2.01
Cr 0.0005 0.9983 0.0004  6 O 1.99-2.01
O 0.2446 0.5311 0.2448  1 Ni 1.96, 3 Cr 1.99-2.00
O 0.2140 0.4691 0.7757  1 Ni 1.96, 3 Cr 1.99-2.00

Summary:
Energy of formation from the pure elements (eV per atom): -2.012

=====

no.,total magnetization (μB/cell)
1,0.00
2,16.00